Entry 1:
Na10Si9Sn4Ge4S3O48 (PBE, relaxed); ΔH_f (0 K) = -2422 meV per atom; spin magnetization = 0.00 μB per formula unit
1.0
8.8338 0.0000 0.0000
0.0444 15.3226 0.0000
0.0294 0.1464 22.2245
Na Si Sn Ge S O
30 27 12 12 9 144
Direct
0.0000 0.0000 0.0000 Na
0.0005 0.3052 0.3295 Na
0.0058 0.3354 0.6639 Na
0.1257 0.1678 0.8306 Na
0.1301 0.5036 0.5006 Na
0.1366 0.8360 0.1639 Na
0.1383 0.4693 0.1651 Na
0.1889 0.1508 0.1620 Na
0.2999 0.6594 0.4145 Na
0.3013 0.9887 0.5763 Na
0.3117 0.6628 0.9099 Na
0.3184 0.3258 0.7458 Na
0.3248 0.9861 0.0759 Na
0.3351 0.3224 0.2465 Na
0.4585 0.1480 0.6607 Na
0.5012 0.8066 0.3305 Na
0.5023 0.4687 0.6658 Na
0.5058 0.8380 0.6666 Na
0.5087 0.4990 0.9997 Na
0.6309 0.6686 0.8323 Na
0.6345 0.3316 0.1628 Na
0.6395 0.9982 0.4998 Na
0.6424 0.9708 0.1665 Na
0.6824 0.6530 0.1582 Na
0.8077 0.1553 0.4160 Na
0.8117 0.1636 0.9115 Na
0.8210 0.4854 0.0771 Na
0.8243 0.4926 0.5808 Na
0.8294 0.8294 0.7424 Na
0.8363 0.8244 0.2492 Na
0.0196 0.3111 0.4975 Si
0.0262 0.9857 0.8236 Si
0.0295 0.6518 0.1615 Si
0.1027 0.1430 0.6621 Si
0.1136 0.8174 0.9919 Si
0.1224 0.4869 0.3307 Si
0.1683 0.1666 0.9921 Si
0.1695 0.8479 0.3317 Si
0.1718 0.5166 0.6627 Si
0.4509 0.8435 0.8254 Si
0.4617 0.5069 0.1612 Si
0.4655 0.8004 0.1657 Si
0.4697 0.1655 0.4967 Si
0.5273 0.4854 0.8240 Si
0.5295 0.8123 0.4945 Si
0.5347 0.1473 0.1618 Si
0.6089 0.6518 0.6605 Si
0.6136 0.9831 0.3308 Si
0.6175 0.3110 0.9960 Si
0.6697 0.3375 0.3299 Si
0.6744 0.6707 0.9921 Si
0.6804 0.2933 0.6650 Si
0.6847 0.0072 0.6620 Si
0.9582 0.3372 0.8232 Si
0.9628 0.6819 0.4978 Si
0.9639 0.2933 0.1621 Si
0.9676 0.0101 0.1611 Si
0.3100 0.6546 0.2667 Sn
0.3161 0.3120 0.6004 Sn
0.3206 0.3164 0.8894 Sn
0.3222 0.3125 0.3938 Sn
0.3226 0.3115 0.0960 Sn
0.3226 0.6601 0.0591 Sn
0.8110 0.1499 0.2670 Sn
0.8107 0.4799 0.9288 Sn
0.8159 0.8218 0.8884 Sn
0.8203 0.4801 0.2264 Sn
0.8231 0.8176 0.0956 Sn
0.8307 0.4846 0.4341 Sn
0.2901 0.9786 0.9282 Ge
0.3146 0.6571 0.5601 Ge
0.3187 0.9846 0.7248 Ge
0.3230 0.9787 0.2256 Ge
0.3397 0.6514 0.7641 Ge
0.3443 0.9778 0.4334 Ge
0.7973 0.8150 0.5972 Ge
0.8154 0.1586 0.5631 Ge
0.8183 0.4796 0.7208 Ge
0.8236 0.1576 0.0612 Ge
0.8283 0.8216 0.3945 Ge
0.8299 0.1493 0.7617 Ge
0.1702 0.4659 0.9944 S
0.1719 0.7961 0.6624 S
0.1800 0.1232 0.3290 S
0.4656 0.4685 0.4969 S
0.4685 0.1237 0.8279 S
0.6633 0.9687 0.9945 S
0.6772 0.6338 0.3303 S
0.9674 0.9607 0.4959 S
0.9705 0.6278 0.8245 S
0.0039 0.8068 0.9347 O
0.0056 0.4761 0.9892 O
0.0075 0.8071 0.6564 O
0.0081 0.1683 0.7228 O
0.0125 0.1337 0.3278 O
0.0186 0.4701 0.2704 O
0.0185 0.8433 0.0530 O
0.0254 0.5034 0.3920 O
0.1187 0.3000 0.4354 O
0.1223 0.0069 0.8860 O
0.1255 0.6809 0.2201 O
0.1286 0.3392 0.5545 O
0.1325 0.9690 0.4888 O
0.1328 0.6254 0.1040 O
0.1354 0.6403 0.8189 O
0.1447 0.3218 0.8276 O
0.1458 0.3076 0.1546 O
0.1463 0.9727 0.7684 O
0.1496 0.6653 0.5046 O
0.1532 0.0014 0.1692 O
0.1911 0.2278 0.9325 O
0.1941 0.4152 0.0512 O
0.1979 0.9027 0.2680 O
0.2005 0.7427 0.7170 O
0.2021 0.5705 0.5991 O
0.2109 0.2320 0.6607 O
0.2126 0.3929 0.3342 O
0.2130 0.7294 0.9960 O
0.2159 0.0729 0.3835 O
0.2192 0.9062 0.9868 O
0.2260 0.0606 0.6689 O
0.2326 0.5711 0.3290 O
0.2386 0.0860 0.2714 O
0.2401 0.4229 0.9417 O
0.2429 0.2059 0.0534 O
0.2450 0.2135 0.3298 O
0.2466 0.5511 0.9969 O
0.2473 0.7585 0.6075 O
0.2485 0.8837 0.6653 O
0.2520 0.0695 0.9836 O
0.2519 0.4178 0.6588 O
0.2554 0.8954 0.3883 O
0.2596 0.7533 0.3284 O
0.2612 0.5637 0.7186 O
0.3732 0.7439 0.8196 O
0.3747 0.7629 0.1084 O
0.3773 0.5504 0.2182 O
0.3821 0.8927 0.8848 O
0.3838 0.0685 0.4880 O
0.3846 0.8964 0.1707 O
0.3857 0.4097 0.1567 O
0.3865 0.5541 0.5003 O
0.3923 0.2117 0.8294 O
0.3957 0.2047 0.5585 O
0.3960 0.4261 0.4441 O
0.4019 0.0875 0.7706 O
0.4212 0.2315 0.1567 O
0.4224 0.5759 0.8194 O
0.4229 0.7261 0.5053 O
0.4229 0.9016 0.4900 O
0.4238 0.3983 0.8299 O
0.4252 0.0612 0.1725 O
0.4304 0.0719 0.8818 O
0.4302 0.9001 0.7628 O
0.4443 0.4164 0.5532 O
0.4455 0.5641 0.0991 O
0.4487 0.2302 0.4398 O
0.4576 0.7381 0.2255 O
0.4884 0.3250 0.3333 O
0.4894 0.6327 0.6055 O
0.4911 0.6535 0.9953 O
0.4940 0.9947 0.6686 O
0.4960 0.3079 0.6595 O
0.4997 0.9774 0.9868 O
0.5033 0.9646 0.2717 O
0.5100 0.3002 0.9371 O
0.5103 0.6450 0.3290 O
0.5112 0.6785 0.7218 O
0.5139 0.9992 0.3919 O
0.5158 0.3400 0.0550 O
0.6195 0.5104 0.8854 O
0.6280 0.1794 0.2202 O
0.6292 0.8410 0.5544 O
0.6302 0.4809 0.4913 O
0.6336 0.1331 0.8249 O
0.6354 0.8252 0.8296 O
0.6388 0.4741 0.7656 O
0.6388 0.8002 0.4352 O
0.6457 0.1243 0.1048 O
0.6457 0.4993 0.1668 O
0.6464 0.8147 0.1566 O
0.6545 0.1513 0.5039 O
0.6865 0.9159 0.0509 O
0.6923 0.3907 0.2662 O
0.6986 0.2259 0.7216 O
0.6991 0.7282 0.9310 O
0.6996 0.0700 0.6020 O
0.7059 0.5791 0.3839 O
0.7112 0.5631 0.6684 O
0.7111 0.7416 0.6542 O
0.7130 0.8909 0.3381 O
0.7164 0.2221 0.0044 O
0.7207 0.4002 0.9923 O
0.7220 0.0676 0.3284 O
0.7337 0.5941 0.2737 O
0.7359 0.7139 0.0544 O
0.7399 0.9263 0.9423 O
0.7429 0.0528 0.9993 O
0.7491 0.3881 0.3856 O
0.7504 0.7206 0.3331 O
0.7543 0.3923 0.6676 O
0.7569 0.0507 0.7219 O
0.7575 0.5744 0.9898 O
0.7578 0.9070 0.6525 O
0.7600 0.2549 0.6046 O
0.7662 0.2454 0.3291 O
0.8775 0.2502 0.1053 O
0.8783 0.0462 0.2195 O
0.8796 0.2396 0.8187 O
0.8885 0.3907 0.1636 O
0.8880 0.5827 0.4937 O
0.8888 0.7281 0.5575 O
0.8895 0.9233 0.4409 O
0.8918 0.7147 0.8275 O
0.8928 0.9129 0.1549 O
0.8936 0.0470 0.5004 O
0.8953 0.3802 0.8849 O
0.8966 0.5852 0.7726 O
0.9171 0.4019 0.4965 O
0.9191 0.5670 0.1685 O
0.9204 0.2222 0.5046 O
0.9201 0.7375 0.1568 O
0.9215 0.0748 0.8199 O
0.9223 0.8985 0.8278 O
0.9346 0.4007 0.7640 O
0.9357 0.7401 0.4368 O
0.9401 0.9054 0.5503 O
0.9428 0.0703 0.1002 O
0.9477 0.5786 0.8819 O
0.9550 0.2362 0.2244 O
0.9833 0.1527 0.0004 O
0.9858 0.8356 0.3387 O
0.9882 0.5013 0.6693 O
0.9955 0.1289 0.6038 O

***

Entry 2:
ZnCuTeCl2O3 (PBE, relaxed); ΔH_f (0 K) = -1219 meV per atom; spin magnetization = 0.00 μB per formula unit
1.0
10.2592 0.0000 0.0000
0.0000 15.7972 0.0000
0.0000 0.0000 7.5192
Zn Cu Te Cl O
8 8 8 16 24
Direct
0.0083 0.1176 0.1574 Zn
0.0083 0.3824 0.6574 Zn
0.4917 0.1176 0.6574 Zn
0.4917 0.3824 0.1574 Zn
0.5083 0.6176 0.8426 Zn
0.5083 0.8824 0.3426 Zn
0.9917 0.6176 0.3426 Zn
0.9917 0.8824 0.8426 Zn
0.2365 0.5469 0.1142 Cu
0.2365 0.9531 0.6142 Cu
0.2635 0.5469 0.6142 Cu
0.2635 0.9531 0.1142 Cu
0.7365 0.0469 0.8858 Cu
0.7365 0.4531 0.3858 Cu
0.7635 0.0469 0.3858 Cu
0.7635 0.4531 0.8858 Cu
0.0132 0.5945 0.8004 Te
0.0132 0.9055 0.3004 Te
0.4868 0.5945 0.3004 Te
0.4868 0.9055 0.8004 Te
0.5132 0.0945 0.1996 Te
0.5132 0.4055 0.6996 Te
0.9868 0.0945 0.6996 Te
0.9868 0.4055 0.1996 Te
0.0771 0.7174 0.1663 Cl
0.0771 0.7826 0.6663 Cl
0.2087 0.1240 0.0404 Cl
0.2087 0.3760 0.5404 Cl
0.2913 0.1240 0.5404 Cl
0.2913 0.3760 0.0404 Cl
0.4229 0.7174 0.6663 Cl
0.4229 0.7826 0.1663 Cl
0.5771 0.2174 0.8337 Cl
0.5771 0.2826 0.3337 Cl
0.7087 0.6240 0.9596 Cl
0.7087 0.8760 0.4596 Cl
0.7913 0.6240 0.4596 Cl
0.7913 0.8760 0.9596 Cl
0.9229 0.2174 0.3337 Cl
0.9229 0.2826 0.8337 Cl
0.0578 0.5196 0.1879 O
0.0578 0.9804 0.6879 O
0.0848 0.5816 0.5658 O
0.0848 0.9184 0.0658 O
0.1891 0.5597 0.8628 O
0.1891 0.9403 0.3628 O
0.3109 0.5597 0.3628 O
0.3109 0.9403 0.8628 O
0.4152 0.5816 0.0658 O
0.4152 0.9184 0.5658 O
0.4422 0.5196 0.6879 O
0.4422 0.9804 0.1879 O
0.5578 0.0196 0.8121 O
0.5578 0.4804 0.3121 O
0.5848 0.0816 0.4342 O
0.5848 0.4184 0.9342 O
0.6891 0.0597 0.1372 O
0.6891 0.4403 0.6372 O
0.8109 0.0597 0.6372 O
0.8109 0.4403 0.1372 O
0.9152 0.0816 0.9342 O
0.9152 0.4184 0.4342 O
0.9422 0.0196 0.3121 O
0.9422 0.4804 0.8121 O